Sr3Ge2N4 | PBE-GGA | relaxed

Values from the calculation:
- Space group: Pnna
- Formation energy from the elements: -0.5410 eV per atom

Unit cell a=6.143 b=10.168 c=9.760 alpha=90.00 beta=90.00 gamma=90.00
Positions (direct):
Sr 0.128 0.160 0.931
Ge 0.449 0.750 0.250
N 0.010 0.047 0.161
N 0.490 0.547 0.339
N 0.257 0.157 0.383
Sr 0.628 0.160 0.069
Sr 0.372 0.660 0.569
Ge 0.051 0.250 0.250
Ge 0.750 0.500 0.767
Ge 0.250 0.500 0.233
N 0.243 0.657 0.117
Ge 0.949 0.750 0.750
N 0.510 0.047 0.839
N 0.757 0.343 0.883
Sr 0.250 0.500 0.891
N 0.743 0.843 0.617
Sr 0.750 0.000 0.391
Sr 0.750 0.500 0.109
Ge 0.250 0.000 0.267
Sr 0.628 0.340 0.431
N 0.490 0.953 0.161
N 0.757 0.157 0.617
N 0.243 0.843 0.383
Sr 0.250 0.000 0.609
Sr 0.372 0.840 0.931
N 0.010 0.453 0.339
N 0.510 0.453 0.661
Sr 0.872 0.840 0.069
N 0.990 0.953 0.839
Sr 0.128 0.340 0.569
Ge 0.750 0.000 0.733
Sr 0.872 0.660 0.431
N 0.257 0.343 0.117
N 0.743 0.657 0.883
Ge 0.551 0.250 0.750
N 0.990 0.547 0.661